Below is a relaxed structure of Li3MnFeCoP3O12, with properties calculated at the PBE+U level.

Relative energy among the computed polymorphs, meV per atom: 13
Crystal system: monoclinic
Formation energy, eV per atom: -2.481

Unit cell a=10.4562 b=6.0852 c=14.2881 alpha=90.00 beta=90.09 gamma=90.00
Last column: nearest neighbours and their distance in Å.
Space group Pm (No. 6)
Symmetry-distinct sites (fractional):
Li: 0.0000 0.2492 0.0000 (multiplicity 2)  6 O 2.10-2.23
Li: 0.0003 0.2498 0.3324 (multiplicity 2)  6 O 2.11-2.22
Li: 0.4963 0.2508 0.1659 (multiplicity 2)  6 O 2.10-2.21
Li: 0.4974 0.2495 0.4999 (multiplicity 2)  6 O 2.11-2.21
Li: 0.4973 0.2503 0.8334 (multiplicity 2)  6 O 2.10-2.22
Li: 0.9994 0.2498 0.6665 (multiplicity 2)  6 O 2.11-2.21
Mn: 0.7171 0.0000 0.0064 (multiplicity 1)  6 O 2.13-2.29
Mn: 0.7174 0.0000 0.3396 (multiplicity 1)  6 O 2.14-2.27
Mn: 0.7795 0.5000 0.1729 (multiplicity 1)  6 O 2.13-2.27
Mn: 0.7789 0.5000 0.5069 (multiplicity 1)  6 O 2.13-2.27
Fe: 0.2183 0.0000 0.4916 (multiplicity 1)  6 O 2.10-2.27
Fe: 0.2182 0.0000 0.8246 (multiplicity 1)  6 O 2.10-2.27
Fe: 0.7173 0.0000 0.6737 (multiplicity 1)  6 O 2.11-2.26
Fe: 0.7797 0.5000 0.8408 (multiplicity 1)  6 O 2.09-2.27
Co: 0.2224 0.0000 0.1585 (multiplicity 1)  6 O 2.10-2.22
Co: 0.2756 0.5000 0.9930 (multiplicity 1)  6 O 2.11-2.23
Co: 0.2782 0.5000 0.3272 (multiplicity 1)  6 O 2.09-2.23
Co: 0.2804 0.5000 0.6603 (multiplicity 1)  6 O 2.10-2.24
P: 0.0943 0.5000 0.8055 (multiplicity 1)  4 O 1.54-1.57
P: 0.0948 0.5000 0.4725 (multiplicity 1)  4 O 1.54-1.57
P: 0.0955 0.5000 0.1392 (multiplicity 1)  4 O 1.54-1.58
P: 0.4018 0.0000 0.3047 (multiplicity 1)  4 O 1.53-1.58
P: 0.4020 0.0000 0.9719 (multiplicity 1)  4 O 1.54-1.57
P: 0.4028 0.0000 0.6390 (multiplicity 1)  4 O 1.54-1.58
P: 0.5882 0.5000 0.3609 (multiplicity 1)  4 O 1.54-1.57
P: 0.5893 0.5000 0.0265 (multiplicity 1)  4 O 1.54-1.57
P: 0.5910 0.5000 0.6945 (multiplicity 1)  4 O 1.53-1.57
P: 0.9063 0.0000 0.5287 (multiplicity 1)  4 O 1.54-1.57
P: 0.9059 0.0000 0.8593 (multiplicity 1)  4 O 1.54-1.57
P: 0.9087 0.0000 0.1940 (multiplicity 1)  4 O 1.54-1.57
O: 0.0429 0.0000 0.9017 (multiplicity 1)  1 P 1.55
O: 0.0442 0.0000 0.5692 (multiplicity 1)  1 P 1.55
O: 0.0467 0.0000 0.2345 (multiplicity 1)  1 P 1.55
O: 0.0974 0.5000 0.2467 (multiplicity 1)  1 P 1.54
O: 0.0972 0.5000 0.5800 (multiplicity 1)  1 P 1.54
O: 0.0977 0.5000 0.9133 (multiplicity 1)  1 P 1.54
O: 0.1653 0.2979 0.7606 (multiplicity 2)  1 P 1.57
O: 0.1660 0.2962 0.0947 (multiplicity 2)  1 P 1.58
O: 0.1658 0.2978 0.4275 (multiplicity 2)  1 P 1.57
O: 0.3308 0.2041 0.2603 (multiplicity 2)  1 P 1.58
O: 0.3323 0.2043 0.5947 (multiplicity 2)  1 P 1.58
O: 0.3320 0.2045 0.9282 (multiplicity 2)  1 P 1.57
O: 0.4003 0.0000 0.0798 (multiplicity 1)  1 P 1.54
O: 0.4012 0.0000 0.4121 (multiplicity 1)  1 P 1.53
O: 0.4017 0.0000 0.7466 (multiplicity 1)  1 P 1.54
O: 0.4502 0.5000 0.4015 (multiplicity 1)  1 P 1.56
O: 0.4511 0.5000 0.0664 (multiplicity 1)  1 P 1.55
O: 0.4532 0.5000 0.7356 (multiplicity 1)  1 P 1.56
O: 0.5390 0.0000 0.2624 (multiplicity 1)  1 P 1.56
O: 0.5393 0.0000 0.9300 (multiplicity 1)  1 P 1.56
O: 0.5404 0.0000 0.5972 (multiplicity 1)  1 P 1.56
O: 0.5924 0.5000 0.2534 (multiplicity 1)  1 P 1.54
O: 0.5932 0.5000 0.5871 (multiplicity 1)  1 P 1.53
O: 0.5951 0.5000 0.9190 (multiplicity 1)  1 P 1.54
O: 0.6588 0.2980 0.4058 (multiplicity 2)  1 P 1.57
O: 0.6596 0.2981 0.0721 (multiplicity 2)  1 P 1.57
O: 0.6623 0.2969 0.7386 (multiplicity 2)  1 P 1.57
O: 0.8351 0.2034 0.9033 (multiplicity 2)  1 P 1.57
O: 0.8355 0.2018 0.5735 (multiplicity 2)  1 P 1.57
O: 0.8378 0.2019 0.2390 (multiplicity 2)  1 P 1.57
O: 0.9034 0.0000 0.4211 (multiplicity 1)  1 P 1.54
O: 0.9034 0.0000 0.7518 (multiplicity 1)  1 P 1.54
O: 0.9038 0.0000 0.0865 (multiplicity 1)  1 P 1.54
O: 0.9565 0.5000 0.7644 (multiplicity 1)  1 P 1.55
O: 0.9582 0.5000 0.0967 (multiplicity 1)  1 P 1.56
O: 0.9576 0.5000 0.4302 (multiplicity 1)  1 P 1.56



Below is a relaxed structure of Li3MnFeCoP3O12, with properties calculated at the PBE+U level.

Relative energy among the computed polymorphs, meV per atom: 0
Crystal system: monoclinic
Formation energy, eV per atom: -2.494

Unit cell a=10.4446 b=6.0992 c=14.3095 alpha=90.00 beta=90.10 gamma=90.00
Last column: nearest neighbours and their distance in Å.
Space group Pm (No. 6)
Symmetry-distinct sites (fractional):
Li: 0.0000 0.2493 0.0000 (multiplicity 2)  6 O 2.11-2.26
Li: 0.0015 0.2505 0.3325 (multiplicity 2)  6 O 2.13-2.22
Li: 0.0021 0.2505 0.6663 (multiplicity 2)  6 O 2.11-2.22
Li: 0.5035 0.2503 0.4999 (multiplicity 2)  6 O 2.11-2.22
Li: 0.5045 0.2515 0.8337 (multiplicity 2)  6 O 2.12-2.23
Li: 0.5065 0.2503 0.1655 (multiplicity 2)  6 O 2.13-2.24
Mn: 0.2216 0.5000 0.1732 (multiplicity 1)  6 O 2.14-2.28
Mn: 0.2848 0.0000 0.0073 (multiplicity 1)  6 O 2.13-2.28
Mn: 0.2849 0.0000 0.3401 (multiplicity 1)  6 O 2.14-2.29
Mn: 0.7839 0.0000 0.8257 (multiplicity 1)  6 O 2.14-2.29
Fe: 0.2212 0.5000 0.5080 (multiplicity 1)  6 O 2.10-2.27
Fe: 0.2213 0.5000 0.8403 (multiplicity 1)  6 O 2.10-2.27
Fe: 0.2851 0.0000 0.6745 (multiplicity 1)  6 O 2.10-2.28
Fe: 0.7840 0.0000 0.4918 (multiplicity 1)  6 O 2.11-2.28
Co: 0.7215 0.5000 0.6598 (multiplicity 1)  6 O 2.10-2.23
Co: 0.7248 0.5000 0.3284 (multiplicity 1)  6 O 2.10-2.21
Co: 0.7254 0.5000 0.9927 (multiplicity 1)  6 O 2.10-2.22
Co: 0.7796 0.0000 0.1622 (multiplicity 1)  6 O 2.09-2.19
P: 0.0924 0.0000 0.1937 (multiplicity 1)  4 O 1.54-1.57
P: 0.0965 0.0000 0.5273 (multiplicity 1)  4 O 1.54-1.57
P: 0.0978 0.0000 0.8594 (multiplicity 1)  4 O 1.54-1.57
P: 0.4090 0.5000 0.6933 (multiplicity 1)  4 O 1.54-1.58
P: 0.4118 0.5000 0.0268 (multiplicity 1)  4 O 1.54-1.57
P: 0.4116 0.5000 0.3617 (multiplicity 1)  4 O 1.54-1.57
P: 0.5978 0.0000 0.6387 (multiplicity 1)  4 O 1.54-1.58
P: 0.5988 0.0000 0.9739 (multiplicity 1)  4 O 1.54-1.57
P: 0.6004 0.0000 0.3048 (multiplicity 1)  4 O 1.54-1.58
P: 0.9053 0.5000 0.1384 (multiplicity 1)  4 O 1.54-1.57
P: 0.9078 0.5000 0.4728 (multiplicity 1)  4 O 1.54-1.58
P: 0.9087 0.5000 0.8051 (multiplicity 1)  4 O 1.54-1.57
O: 0.0434 0.5000 0.0971 (multiplicity 1)  1 P 1.56
O: 0.0454 0.5000 0.4313 (multiplicity 1)  1 P 1.56
O: 0.0473 0.5000 0.7653 (multiplicity 1)  1 P 1.56
O: 0.0974 0.0000 0.0864 (multiplicity 1)  1 P 1.54
O: 0.0987 0.0000 0.4200 (multiplicity 1)  1 P 1.54
O: 0.0994 0.0000 0.7518 (multiplicity 1)  1 P 1.54
O: 0.1629 0.2013 0.2387 (multiplicity 2)  1 P 1.57
O: 0.1679 0.2027 0.5713 (multiplicity 2)  1 P 1.57
O: 0.1685 0.2029 0.9034 (multiplicity 2)  1 P 1.57
O: 0.3384 0.2975 0.7381 (multiplicity 2)  1 P 1.58
O: 0.3412 0.2988 0.4070 (multiplicity 2)  1 P 1.57
O: 0.3417 0.2986 0.0722 (multiplicity 2)  1 P 1.57
O: 0.4056 0.5000 0.5859 (multiplicity 1)  1 P 1.54
O: 0.4060 0.5000 0.9191 (multiplicity 1)  1 P 1.54
O: 0.4069 0.5000 0.2545 (multiplicity 1)  1 P 1.54
O: 0.4601 0.0000 0.5967 (multiplicity 1)  1 P 1.56
O: 0.4625 0.0000 0.2636 (multiplicity 1)  1 P 1.56
O: 0.4617 0.0000 0.9308 (multiplicity 1)  1 P 1.56
O: 0.5475 0.5000 0.7338 (multiplicity 1)  1 P 1.56
O: 0.5501 0.5000 0.0667 (multiplicity 1)  1 P 1.55
O: 0.5509 0.5000 0.4012 (multiplicity 1)  1 P 1.56
O: 0.5991 0.0000 0.7461 (multiplicity 1)  1 P 1.54
O: 0.6011 0.0000 0.0815 (multiplicity 1)  1 P 1.54
O: 0.6016 0.0000 0.4125 (multiplicity 1)  1 P 1.54
O: 0.6685 0.2039 0.5948 (multiplicity 2)  1 P 1.58
O: 0.6684 0.2041 0.9305 (multiplicity 2)  1 P 1.57
O: 0.6712 0.2029 0.2598 (multiplicity 2)  1 P 1.58
O: 0.8354 0.2974 0.0934 (multiplicity 2)  1 P 1.57
O: 0.8363 0.2983 0.4277 (multiplicity 2)  1 P 1.58
O: 0.8386 0.2998 0.7590 (multiplicity 2)  1 P 1.57
O: 0.9031 0.5000 0.2464 (multiplicity 1)  1 P 1.54
O: 0.9042 0.5000 0.5802 (multiplicity 1)  1 P 1.54
O: 0.9038 0.5000 0.9125 (multiplicity 1)  1 P 1.54
O: 0.9539 0.0000 0.2341 (multiplicity 1)  1 P 1.56
O: 0.9591 0.0000 0.5691 (multiplicity 1)  1 P 1.56
O: 0.9609 0.0000 0.9016 (multiplicity 1)  1 P 1.55